# 1
A plane-wave DFT calculation with PBE-GGA was carried out for an optimized crystal structure of MnPtN2.

Summary:
E_form, kcal/mol of atoms: 1.31
DFT total energy, eV/atom: -7.739
Space-group type: Pna2_1, No. 33

Cell: 5.1663 6.1544 5.5728 Å, 90.00 90.00 90.00°
Sites, in units of the cell vectors:
Mn  0.0779  0.1014  0.0000
Mn  0.4221  0.6014  0.5000
Mn  0.5779  0.3986  0.0000
Mn  0.9221  0.8986  0.5000
Pt  0.1201  0.6530  0.0698
Pt  0.3799  0.1530  0.5698
Pt  0.6201  0.8470  0.0698
Pt  0.8799  0.3470  0.5698
N  0.0777  0.1172  0.3297
N  0.0781  0.6344  0.4420
N  0.4219  0.1344  0.9420
N  0.4223  0.6172  0.8297
N  0.5777  0.3828  0.3297
N  0.5781  0.8656  0.4420
N  0.9219  0.3656  0.9420
N  0.9223  0.8828  0.8297

***

# 2
A plane-wave DFT calculation with PBE-GGA was carried out for an optimized crystal structure of RbMnN.

Summary:
E_form, kcal/mol of atoms: -3.52
DFT total energy, eV/atom: -6.192
Space-group type: Pnma, No. 62

Cell: 10.7723 3.6142 6.9247 Å, 90.00 90.00 90.00°
Sites, in units of the cell vectors:
Rb  0.1725  0.2500  0.0637
Rb  0.3275  0.7500  0.5637
Rb  0.6725  0.2500  0.4363
Rb  0.8275  0.7500  0.9363
Mn  0.0310  0.2500  0.5991
Mn  0.4690  0.7500  0.0991
Mn  0.5310  0.2500  0.9009
Mn  0.9690  0.7500  0.4009
N  0.0457  0.7500  0.6480
N  0.4543  0.2500  0.1480
N  0.5457  0.7500  0.8520
N  0.9543  0.2500  0.3520

***

# 3
A plane-wave DFT calculation with PBE-GGA was carried out for an optimized crystal structure of MnReN2.

Summary:
E_form, kcal/mol of atoms: -4.87
DFT total energy, eV/atom: -9.601
Space-group type: Pna2_1, No. 33

Cell: 5.0880 6.0724 5.3884 Å, 90.00 90.00 90.00°
Sites, in units of the cell vectors:
Mn  0.0726  0.1136  0.0000
Mn  0.4274  0.6136  0.5000
Mn  0.5726  0.3864  0.0000
Mn  0.9274  0.8864  0.5000
Re  0.1194  0.6716  0.1132
Re  0.3806  0.1716  0.6132
Re  0.6194  0.8284  0.1132
Re  0.8806  0.3284  0.6132
N  0.0590  0.5873  0.4661
N  0.0801  0.1353  0.3609
N  0.4199  0.6353  0.8609
N  0.4410  0.0873  0.9661
N  0.5590  0.9127  0.4661
N  0.5801  0.3647  0.3609
N  0.9199  0.8647  0.8609
N  0.9410  0.4127  0.9661

***

# 4
A plane-wave DFT calculation with PBE-GGA was carried out for an optimized crystal structure of MnRhN2.

Summary:
E_form, kcal/mol of atoms: -3.28
DFT total energy, eV/atom: -8.262
Space-group type: Pna2_1, No. 33

Cell: 5.0958 5.9903 5.4775 Å, 90.00 90.00 90.00°
Sites, in units of the cell vectors:
Mn  0.0670  0.1123  0.0000
Mn  0.4330  0.6123  0.5000
Mn  0.5670  0.3877  0.0000
Mn  0.9330  0.8877  0.5000
Rh  0.1209  0.6587  0.0740
Rh  0.3791  0.1587  0.5740
Rh  0.6209  0.8413  0.0740
Rh  0.8791  0.3413  0.5740
N  0.0737  0.1270  0.3386
N  0.0831  0.6168  0.4470
N  0.4169  0.1168  0.9470
N  0.4263  0.6270  0.8386
N  0.5737  0.3730  0.3386
N  0.5831  0.8832  0.4470
N  0.9169  0.3832  0.9470
N  0.9263  0.8730  0.8386

***

# 5
A plane-wave DFT calculation with PBE-GGA was carried out for an optimized crystal structure of Mn12Rh4N.

Summary:
E_form, kcal/mol of atoms: -2.15
DFT total energy, eV/atom: -8.762
Space-group type: P2/m, No. 10

Cell: 4.1179 5.2247 9.0378 Å, 90.00 90.04 90.00°
Sites, in units of the cell vectors:
Mn  0.2356  0.2419  0.0865
Mn  0.2356  0.7581  0.0865
Mn  0.2367  0.5000  0.8296
Mn  0.2484  0.0000  0.3420
Mn  0.2495  0.2335  0.5784
Mn  0.2495  0.7665  0.5784
Mn  0.7505  0.2335  0.4216
Mn  0.7505  0.7665  0.4216
Mn  0.7516  0.0000  0.6580
Mn  0.7633  0.5000  0.1704
Mn  0.7644  0.2419  0.9135
Mn  0.7644  0.7581  0.9135
Rh  0.2516  0.5000  0.3378
Rh  0.2557  0.0000  0.8282
Rh  0.7443  0.0000  0.1718
Rh  0.7484  0.5000  0.6622
N  0.5000  0.5000  0.0000

***

# 6
A plane-wave DFT calculation with PBE-GGA was carried out for an optimized crystal structure of Mn3Ru8N9.

Summary:
E_form, kcal/mol of atoms: 3.66
DFT total energy, eV/atom: -8.514
Space-group type: P2_1/c, No. 14

Cell: 6.0618 8.8580 17.2785 Å, 90.00 98.45 90.00°
Sites, in units of the cell vectors:
Mn  0.0415  0.1930  0.2554
Mn  0.0415  0.3070  0.7554
Mn  0.2294  0.6327  0.5401
Mn  0.2294  0.8673  0.0401
Mn  0.3842  0.1217  0.5956
Mn  0.3842  0.3783  0.0956
Mn  0.6158  0.6217  0.9044
Mn  0.6158  0.8783  0.4044
Mn  0.7706  0.1327  0.9599
Mn  0.7706  0.3673  0.4599
Mn  0.9585  0.6930  0.2446
Mn  0.9585  0.8070  0.7446
Ru  0.0156  0.6251  0.0989
Ru  0.0156  0.8749  0.5989
Ru  0.0527  0.1855  0.0884
Ru  0.0527  0.3145  0.5884
Ru  0.1605  0.0799  0.8994
Ru  0.1605  0.4201  0.3994
Ru  0.2340  0.5964  0.7249
Ru  0.2340  0.9036  0.2249
Ru  0.2549  0.5696  0.9771
Ru  0.2549  0.9304  0.4771
Ru  0.2844  0.5006  0.2165
Ru  0.2844  0.9994  0.7165
Ru  0.4380  0.1621  0.3841
Ru  0.4380  0.3379  0.8841
Ru  0.4954  0.5970  0.3586
Ru  0.4954  0.9030  0.8586
Ru  0.5046  0.0970  0.1414
Ru  0.5046  0.4030  0.6414
Ru  0.5620  0.6621  0.1159
Ru  0.5620  0.8379  0.6159
Ru  0.7156  0.0006  0.2835
Ru  0.7156  0.4994  0.7835
Ru  0.7451  0.0696  0.5229
Ru  0.7451  0.4304  0.0229
Ru  0.7660  0.0964  0.7751
Ru  0.7660  0.4036  0.2751
Ru  0.8395  0.5799  0.6006
Ru  0.8395  0.9201  0.1006
Ru  0.9473  0.6855  0.4116
Ru  0.9473  0.8145  0.9116
Ru  0.9844  0.1251  0.4011
Ru  0.9844  0.3749  0.9011
N  0.0539  0.2135  0.9749
N  0.0539  0.2865  0.4749
N  0.1024  0.0888  0.6142
N  0.1024  0.4112  0.1142
N  0.1057  0.1126  0.7844
N  0.1057  0.3874  0.2844
N  0.2313  0.1339  0.1918
N  0.2313  0.3661  0.6918
N  0.2746  0.6928  0.2734
N  0.2746  0.8072  0.7734
N  0.2839  0.6163  0.4377
N  0.2839  0.8837  0.9377
N  0.4204  0.6336  0.6323
N  0.4204  0.8664  0.1323
N  0.4262  0.5357  0.8228
N  0.4262  0.9643  0.3228
N  0.4292  0.1285  0.4950
N  0.4292  0.3715  0.9950
N  0.5708  0.6285  0.0050
N  0.5708  0.8715  0.5050
N  0.5738  0.0357  0.6772
N  0.5738  0.4643  0.1772
N  0.5796  0.1336  0.8677
N  0.5796  0.3664  0.3677
N  0.7161  0.1163  0.0623
N  0.7161  0.3837  0.5623
N  0.7254  0.1928  0.2266
N  0.7254  0.3072  0.7266
N  0.7687  0.6339  0.3082
N  0.7687  0.8661  0.8082
N  0.8943  0.6126  0.7156
N  0.8943  0.8874  0.2156
N  0.8976  0.5888  0.8858
N  0.8976  0.9112  0.3858
N  0.9461  0.7135  0.5251
N  0.9461  0.7865  0.0251

***

# 7
A plane-wave DFT calculation with PBE-GGA was carried out for an optimized crystal structure of Mn2RuN3.

Summary:
E_form, kcal/mol of atoms: -0.76
ΔE to the lowest computed polymorph, meV/atom: 190
DFT total energy, eV/atom: -8.620
Space-group type: C2/c, No. 15

Cell: 6.2337 6.2337 7.7244 Å, 90.61 90.61 125.65°
Sites, in units of the cell vectors:
Mn  0.0566  0.6551  0.6311
Mn  0.1501  0.4606  0.8834
Mn  0.3449  0.9434  0.8689
Mn  0.4606  0.1501  0.3834
Mn  0.5394  0.8499  0.6166
Mn  0.6551  0.0566  0.1311
Mn  0.8499  0.5394  0.1166
Mn  0.9434  0.3449  0.3689
Ru  0.1815  0.2055  0.6353
Ru  0.2055  0.1815  0.1353
Ru  0.7945  0.8185  0.8647
Ru  0.8185  0.7945  0.3647
N  0.0095  0.3463  0.1286
N  0.1356  0.8644  0.2500
N  0.2291  0.5266  0.5075
N  0.3463  0.0095  0.6286
N  0.4509  0.5491  0.7500
N  0.4734  0.7709  0.9925
N  0.5266  0.2291  0.0075
N  0.5491  0.4509  0.2500
N  0.6537  0.9905  0.3714
N  0.7709  0.4734  0.4925
N  0.8644  0.1356  0.7500
N  0.9905  0.6537  0.8714

***

# 8
A plane-wave DFT calculation with PBE-GGA was carried out for an optimized crystal structure of Mn2RuN3.

Summary:
E_form, kcal/mol of atoms: -5.13
ΔE to the lowest computed polymorph, meV/atom: 0
DFT total energy, eV/atom: -8.810
Space-group type: Cmc2_1, No. 36

Cell: 5.1879 5.1879 4.9234 Å, 90.00 90.00 64.25°
Sites, in units of the cell vectors:
Mn  0.0281  0.6144  0.5000
Mn  0.3856  0.9719  0.5000
Mn  0.6144  0.0281  0.0000
Mn  0.9719  0.3856  0.0000
Ru  0.3579  0.6421  0.9227
Ru  0.6421  0.3579  0.4227
N  0.0568  0.2746  0.3612
N  0.2746  0.0568  0.8612
N  0.2885  0.7115  0.3216
N  0.7115  0.2885  0.8216
N  0.7254  0.9432  0.3612
N  0.9432  0.7254  0.8612

***

# 9
A plane-wave DFT calculation with PBE-GGA was carried out for an optimized crystal structure of Mn4RuN4.

Summary:
E_form, kcal/mol of atoms: -5.06
DFT total energy, eV/atom: -8.867
Space-group type: P-1, No. 2

Cell: 5.3309 5.6156 7.1830 Å, 71.65 78.93 61.78°
Sites, in units of the cell vectors:
Mn  0.1991  0.4891  0.2325
Mn  0.2087  0.8582  0.4043
Mn  0.2640  0.9997  0.9987
Mn  0.2801  0.1363  0.5947
Mn  0.7199  0.8637  0.4053
Mn  0.7360  0.0003  0.0013
Mn  0.7913  0.1418  0.5957
Mn  0.8009  0.5109  0.7675
Ru  0.3283  0.4560  0.7712
Ru  0.6717  0.5440  0.2288
N  0.0108  0.8806  0.1919
N  0.0277  0.2471  0.3823
N  0.3583  0.2579  0.0467
N  0.4686  0.7512  0.6109
N  0.5314  0.2488  0.3891
N  0.6417  0.7421  0.9533
N  0.9723  0.7529  0.6177
N  0.9892  0.1194  0.8081

***

# 10
A plane-wave DFT calculation with PBE-GGA was carried out for an optimized crystal structure of Mn4S3N2.

Summary:
E_form, kcal/mol of atoms: -12.39
DFT total energy, eV/atom: -7.593
Space-group type: C2/m, No. 12

Cell: 5.9295 5.9295 8.4984 Å, 126.38 126.38 31.88°
Sites, in units of the cell vectors:
Mn  0.0817  0.0817  0.3684
Mn  0.2926  0.2926  0.1374
Mn  0.7074  0.7074  0.8626
Mn  0.9183  0.9183  0.6316
S  0.3116  0.3116  0.7142
S  0.5000  0.5000  0.5000
S  0.6884  0.6884  0.2858
N  0.1207  0.1207  0.8734
N  0.8793  0.8793  0.1266

***

# 11
A plane-wave DFT calculation with PBE-GGA was carried out for an optimized crystal structure of Mn2SbN3.

Summary:
E_form, kcal/mol of atoms: 0.44
ΔE to the lowest computed polymorph, meV/atom: 35
DFT total energy, eV/atom: -7.711
Space-group type: C2/c, No. 15

Cell: 7.1855 7.1855 8.0560 Å, 92.34 92.34 134.02°
Sites, in units of the cell vectors:
Mn  0.0117  0.6863  0.5714
Mn  0.0386  0.5179  0.8442
Mn  0.3137  0.9883  0.9286
Mn  0.4821  0.9614  0.6558
Mn  0.5179  0.0386  0.3442
Mn  0.6863  0.0117  0.0714
Mn  0.9614  0.4821  0.1558
Mn  0.9883  0.3137  0.4286
Sb  0.2703  0.2917  0.1116
Sb  0.2917  0.2703  0.6116
Sb  0.7083  0.7297  0.3884
Sb  0.7297  0.7083  0.8884
N  0.0083  0.3100  0.9967
N  0.0679  0.9321  0.7500
N  0.1667  0.5624  0.6219
N  0.2713  0.7287  0.2500
N  0.3100  0.0083  0.4967
N  0.4376  0.8333  0.8781
N  0.5624  0.1667  0.1219
N  0.6900  0.9917  0.5033
N  0.7287  0.2713  0.7500
N  0.8333  0.4376  0.3781
N  0.9321  0.0679  0.2500
N  0.9917  0.6900  0.0033

***

# 12
A plane-wave DFT calculation with PBE-GGA was carried out for an optimized crystal structure of Mn3SbN.

Summary:
E_form, kcal/mol of atoms: -2.69
DFT total energy, eV/atom: -8.035
Space-group type: Pm-3m, No. 221

Cell: 3.9127 3.9127 3.9127 Å, 90.00 90.00 90.00°
Sites, in units of the cell vectors:
Mn  0.0000  0.0000  0.5000
Mn  0.0000  0.5000  0.0000
Mn  0.5000  0.0000  0.0000
Sb  0.5000  0.5000  0.5000
N  0.0000  0.0000  0.0000